This record from Materials Project describes a geometry-optimized ZnCuP2O7 structure. The functional is GGA-PBE.

## Properties
V = 126.58 Å³/f.u.
polymorph energy (0 for the lowest one) = 2 meV per atom
calculated formation energy = -2204 meV per atom

a b c (Å): 6.2856 6.2934 7.0530
angles (deg): 77.88 68.85 80.46
Sites, in units of the cell vectors:
Zn1 0.7168 0.1101 0.8346
Zn2 0.2832 0.8899 0.1654
Cu1 0.9026 0.3292 0.2194
Cu2 0.0974 0.6708 0.7806
P1 0.7762 0.8344 0.2488
P2 0.2238 0.1656 0.7512
P3 0.3641 0.3826 0.3088
P4 0.6359 0.6174 0.6912
O1 0.3880 0.2356 0.5232
O2 0.6120 0.7644 0.4768
O3 0.9363 0.0001 0.2461
O4 0.0637 0.9999 0.7539
O5 0.7352 0.3883 0.6410
O6 0.2648 0.6117 0.3590
O7 0.3874 0.6299 0.8382
O8 0.6126 0.3701 0.1618
O9 0.3880 0.0571 0.8687
O10 0.6120 0.9429 0.1313
O11 0.0701 0.3603 0.8394
O12 0.9299 0.6397 0.1606
O13 0.7906 0.7377 0.7502
O14 0.2094 0.2623 0.2498